(1)
VASP calculation (GGA-PBE) on a geometry-optimized MgSeO5 structure.

## Properties
- SG = C2/c (15)
- energy of formation from the pure elements (eV per atom) = -1.3104
- E_tot (eV/atom) = -5.08

Unit cell a=5.3287 b=5.3287 c=7.8690 alpha=104.73 beta=104.73 gamma=96.04
Element x y z (fractional)
Mg  0.0000  0.5000  0.0000
Mg  0.5000  0.0000  0.5000
Se  0.0862  0.9138  0.7500
Se  0.9138  0.0862  0.2500
O  0.1717  0.2460  0.8351
O  0.1875  0.7796  0.9183
O  0.2204  0.8125  0.5817
O  0.2460  0.1717  0.3351
O  0.3325  0.6675  0.2500
O  0.6675  0.3325  0.7500
O  0.7540  0.8283  0.6649
O  0.7796  0.1875  0.4183
O  0.8125  0.2204  0.0817
O  0.8283  0.7540  0.1649

(2)
VASP calculation (GGA-PBE) on a geometry-optimized Mg5Si8O30 structure.

## Properties
- energy relative to the lowest polymorph listed for this composition (meV per atom) = 0
- SG = C2/m (12)
- energy of formation from the pure elements (eV per atom) = -2.1890
- E_tot (eV/atom) = -6.36

Unit cell a=11.4839 b=11.4839 c=5.3455 alpha=99.64 beta=99.64 gamma=105.72
Element x y z (fractional)
Mg  0.0000  0.0000  0.0000
Mg  0.0956  0.9044  0.5000
Mg  0.1704  0.8296  0.0000
Mg  0.8296  0.1704  0.0000
Mg  0.9044  0.0956  0.5000
Si  0.0445  0.3776  0.4707
Si  0.1250  0.2946  0.9758
Si  0.2946  0.1250  0.9758
Si  0.3776  0.0445  0.4707
Si  0.6224  0.9555  0.5293
Si  0.7054  0.8750  0.0242
Si  0.8750  0.7054  0.0242
Si  0.9555  0.6224  0.5293
O  0.0000  0.5000  0.5000
O  0.0018  0.8250  0.1027
O  0.0592  0.0592  0.3978
O  0.0754  0.7466  0.6307
O  0.1256  0.3764  0.7531
O  0.1321  0.3828  0.2562
O  0.1750  0.9982  0.8973
O  0.2292  0.6892  0.1743
O  0.2480  0.2480  0.0008
O  0.2534  0.9246  0.3693
O  0.3108  0.7708  0.8257
O  0.3412  0.6588  0.5000
O  0.3622  0.6378  0.0000
O  0.3764  0.1256  0.7531
O  0.3828  0.1321  0.2562
O  0.5000  0.0000  0.5000
O  0.6172  0.8679  0.7438
O  0.6236  0.8744  0.2469
O  0.6378  0.3622  0.0000
O  0.6588  0.3412  0.5000
O  0.6892  0.2292  0.1743
O  0.7466  0.0754  0.6307
O  0.7520  0.7520  0.9992
O  0.7708  0.3108  0.8257
O  0.8250  0.0018  0.1027
O  0.8679  0.6172  0.7438
O  0.8744  0.6236  0.2469
O  0.9246  0.2534  0.3693
O  0.9408  0.9408  0.6022
O  0.9982  0.1750  0.8973

(3)
VASP calculation (GGA-PBE) on a geometry-optimized MgSiO3 structure.

## Properties
- SG = P2/c (13)
- energy of formation from the pure elements (eV per atom) = -3.2155
- E_tot (eV/atom) = -7.18

Unit cell a=9.4067 b=8.8964 c=5.2287 alpha=90.00 beta=93.95 gamma=90.00
Element x y z (fractional)
Mg  0.0000  0.0990  0.2500
Mg  0.0000  0.2622  0.7500
Mg  0.0000  0.7378  0.2500
Mg  0.0000  0.9010  0.7500
Mg  0.5000  0.2347  0.2500
Mg  0.5000  0.4010  0.7500
Mg  0.5000  0.5990  0.2500
Mg  0.5000  0.7653  0.7500
Si  0.2089  0.4103  0.0604
Si  0.2089  0.5897  0.5604
Si  0.2946  0.0899  0.6359
Si  0.2946  0.9101  0.1359
Si  0.7054  0.0899  0.8641
Si  0.7054  0.9101  0.3641
Si  0.7911  0.4103  0.4396
Si  0.7911  0.5897  0.9396
O  0.1203  0.0920  0.6034
O  0.1203  0.9080  0.1034
O  0.1205  0.2584  0.0886
O  0.1205  0.7416  0.5886
O  0.1539  0.4586  0.7585
O  0.1539  0.5414  0.2585
O  0.3492  0.0471  0.9408
O  0.3492  0.9529  0.4408
O  0.3778  0.2393  0.5528
O  0.3778  0.7607  0.0528
O  0.3831  0.4079  0.0755
O  0.3831  0.5921  0.5755
O  0.6169  0.4079  0.4245
O  0.6169  0.5921  0.9245
O  0.6222  0.2393  0.9472
O  0.6222  0.7607  0.4472
O  0.6508  0.0471  0.5592
O  0.6508  0.9529  0.0592
O  0.8461  0.4586  0.7415
O  0.8461  0.5414  0.2415
O  0.8795  0.2584  0.4114
O  0.8795  0.7416  0.9114
O  0.8797  0.0920  0.8966
O  0.8797  0.9080  0.3966

(4)
VASP calculation (GGA-PBE) on a geometry-optimized Mg7Si4O16 structure.

## Properties
- SG = C2 (5)
- energy of formation from the pure elements (eV per atom) = -2.9917
- E_tot (eV/atom) = -6.74

Unit cell a=7.7073 b=7.7073 c=5.6841 alpha=110.13 beta=110.13 gamma=99.86
Element x y z (fractional)
Mg  0.0000  0.0000  0.0000
Mg  0.1370  0.4209  0.5371
Mg  0.3801  0.1522  0.5024
Mg  0.5791  0.8630  0.4629
Mg  0.7374  0.2626  0.0000
Mg  0.8478  0.6199  0.4976
Mg  0.9857  0.0143  0.5000
Si  0.0971  0.6366  0.1193
Si  0.3463  0.3774  0.1047
Si  0.3634  0.9029  0.8807
Si  0.6226  0.6537  0.8953
O  0.0043  0.5362  0.7810
O  0.1171  0.8720  0.2503
O  0.1280  0.8829  0.7497
O  0.2366  0.2668  0.7618
O  0.2421  0.2666  0.2484
O  0.3230  0.6046  0.2166
O  0.3954  0.6770  0.7834
O  0.4638  0.9957  0.2190
O  0.4807  0.0153  0.7516
O  0.5799  0.4003  0.2206
O  0.5997  0.4201  0.7794
O  0.7334  0.7579  0.7516
O  0.7332  0.7634  0.2382
O  0.8372  0.0986  0.7334
O  0.9014  0.1628  0.2666
O  0.9847  0.5193  0.2484

energy of formation from the pure elements of number 4 (Mg7Si4O16)? -2.9917 eV per atom